1) 40
Lattice="8.4578 0.0000 0.0000 0.0000 8.4641 0.0000 0.0000 0.0000 8.4670" Properties=species:S:1:pos:R:3 comment="BaSrYNbO6 (GGA-PBE, relaxed)" magnetic_moment_mub_per_cell=0.0 pbc="T T T"
Sr 4.2289 0.0000 4.2335
O 8.3445 6.5203 6.1585
O 6.5989 2.3866 0.1168
O 6.1720 8.3386 6.5376
O 4.3526 6.0392 6.6303
O 2.4189 1.8732 4.3556
Nb 6.3490 6.3169 6.3430
O 4.1053 6.0392 1.8367
Y 6.3382 2.1390 6.3486
O 1.8409 4.1203 6.0352
O 4.3526 2.4249 1.8367
O 6.5989 6.0775 8.3503
Y 2.1196 2.1390 2.1185
O 6.6170 4.3438 6.0352
O 1.8409 4.3438 2.4318
Y 6.3382 6.3250 2.1185
Nb 2.1088 6.3169 2.1240
O 1.8589 6.0775 0.1168
Ba 0.0000 0.0000 0.0000
Ba 0.0000 0.0000 4.2335
Nb 2.1088 2.1472 6.3430
O 0.1133 1.9437 6.1585
Sr 4.2289 4.2320 0.0000
Sr 0.0000 4.2320 4.2335
O 4.1053 2.4249 6.6303
Nb 6.3490 2.1472 2.1240
O 2.4189 6.5909 4.1114
O 8.3445 1.9437 2.3086
O 0.1133 6.5203 2.3086
Y 2.1196 6.3250 6.3486
O 1.8589 2.3866 8.3503
O 6.6170 4.1203 2.4318
Sr 0.0000 4.2320 0.0000
Ba 4.2289 0.0000 0.0000
O 6.1720 0.1254 1.9295
O 2.2859 0.1254 6.5376
O 6.0389 1.8732 4.1114
Ba 4.2289 4.2320 4.2335
O 2.2859 8.3386 1.9295
O 6.0389 6.5909 4.3556

2) 10
Lattice="4.6386 3.7937 -0.5077 -0.9106 5.6213 -1.9337 0.5401 4.6170 3.8156" Properties=species:S:1:pos:R:3 comment="BaSrYNbO6 (GGA-PBE, relaxed)" magnetic_moment_mub_per_cell=0.0 pbc="T T T"
O 3.4509 5.3217 0.0589
Ba 3.2011 10.5240 1.0307
O 0.8172 8.7102 1.3153
O 2.9722 8.2774 -0.9578
O 0.5332 6.2827 -0.6909
Y 2.1341 7.0160 0.6871
O 1.2959 5.7546 2.3321
Sr 1.0670 3.5080 0.3436
O 3.7349 7.7493 2.0651
Nb 0.0000 0.0000 0.0000

Most stable: 1) (next structure +2.2 kJ/mol of atoms)

1) 46
Lattice="12.7398 0.0000 0.0000 0.0000 4.1243 0.0000 0.0000 0.0287 12.6746" Properties=species:S:1:pos:R:3 comment="Ba3TiNb4O15 (GGA-PBE, relaxed)" magnetic_moment_mub_per_cell=0.0 pbc="T T T"
O 7.7616 1.8368 5.4893
Nb 6.8959 2.0167 7.2988
O 12.3441 1.8611 9.9237
O 12.1840 3.9057 5.3505
O 6.8987 3.9067 7.3303
O 2.1712 3.8246 2.6169
O 0.5558 3.9201 11.6878
Nb 5.8439 2.0023 0.9615
O 7.5779 1.8886 12.5801
Ti 10.5872 2.0769 9.0418
O 5.9473 1.8361 9.1154
O 6.7925 1.8217 2.7781
O 4.1786 3.9133 10.0705
O 5.1618 1.8742 6.2428
O 9.6437 1.8631 1.9822
Ba 3.1491 3.9924 0.0608
O 10.4135 1.8393 4.5795
Nb 4.1259 2.0402 9.9395
O 5.8410 3.8923 0.9930
O 10.5686 3.8390 8.9542
Nb 8.6139 2.0259 3.6022
O 2.3262 1.8537 10.9167
O 9.5061 1.8704 10.6710
O 1.1873 1.8779 6.4492
Nb 12.2844 2.0164 5.3884
O 1.3938 1.8306 0.8783
Nb 0.4554 2.0308 11.7257
O 8.5612 3.8990 3.7332
O 4.0892 1.8418 1.8056
Nb 3.1997 1.6597 6.2556
O 3.1713 3.9241 6.3289
O 11.5525 1.8635 0.1119
Ti 2.1526 2.0625 2.7045
Ba 0.9193 3.9713 8.4894
Nb 9.5400 1.6740 12.5929
Ba 7.4374 3.9364 10.4494
Ba 9.5906 4.0067 6.3981
O 4.9781 1.8511 11.8266
O 0.3957 1.8467 3.5864
Ba 11.8205 3.9570 2.1521
O 8.6506 1.8561 8.1429
Ba 5.3024 3.9220 4.1121
O 9.5684 3.9384 12.6662
O 11.3460 1.8450 7.2156
O 3.0961 1.8774 8.3195
O 3.2337 1.8560 4.3337

2) 46
Lattice="-5.6439 8.1023 -7.9718 -11.3477 -4.5280 3.4319 -0.2128 2.8195 3.0163" Properties=species:S:1:pos:R:3 comment="Ba3TiNb4O15 (GGA-PBE, relaxed)" magnetic_moment_mub_per_cell=0.0 pbc="T T T"
O -15.1225 5.1052 -2.9276
O -9.4968 -0.0392 2.2680
O -7.5898 6.5888 -6.6143
O -14.9646 2.2644 -3.0923
O -5.6801 -2.1815 1.8042
O -7.7128 6.5006 -3.7192
O -2.8282 4.1336 -3.8977
O -10.1723 4.0639 -1.6050
Ba -8.7058 4.5695 0.7067
O -12.4887 1.6225 0.5161
O -4.0635 -0.0632 2.6862
O -2.0330 1.3896 -1.3623
Nb -11.4683 2.7207 -0.6996
O -3.8753 6.7257 -3.6464
O -4.7218 4.8513 -1.9540
Ti -2.9180 5.3240 -2.6242
Ba -4.9512 2.5591 2.8087
O -11.4744 -1.6328 3.6281
O -13.0319 3.7274 -1.5022
O -13.1470 6.5370 -4.1242
Nb -8.9853 5.1948 -2.8371
O -13.3351 -0.2519 2.2084
O -11.2899 1.4914 -2.1105
Nb -7.7878 7.8463 -5.2311
O -7.0379 2.4075 0.1645
Ti -5.7699 -0.9911 3.0777
Nb -15.0354 3.4710 -1.6527
Nb -2.1554 2.7429 -0.0633
Nb -9.4030 -1.6324 3.5151
Nb -8.2056 1.0191 1.1211
O -8.8233 3.8573 -4.1480
O -6.5852 0.4672 2.0125
O -9.4078 -2.9348 2.1597
O -5.7077 2.1626 -2.3441
O -10.6253 6.0066 -3.4505
Ba -12.4572 6.5380 -1.4402
O -5.7358 8.1042 -5.0687
Ba -11.6045 1.7011 3.1413
O -4.1776 2.7340 0.0510
Ba -5.8040 7.3960 -1.7728
O -9.8128 2.0468 0.3059
Ba -0.2100 2.7824 2.9766
Nb -5.7225 3.4932 -1.0164
O -2.0878 1.3662 1.4871
O -8.1743 -0.2033 -0.3066
O -7.3975 4.4246 -1.7464

Most stable: 2) (next structure +0.5 kJ/mol of atoms)

1) 19
Lattice="6.8939 0.0000 0.0000 0.0000 6.0269 0.0000 0.0000 0.0408 12.7072" Properties=species:S:1:pos:R:3 comment="Ba4Nb3Se12 (GGA-PBE, relaxed)" magnetic_moment_mub_per_cell=0.1 pbc="T T T"
Nb 3.4469 3.0339 6.3536
Se 3.4469 1.5377 8.5295
Ba 3.4469 1.4816 1.9214
Se 5.2702 4.5447 7.4232
Se 1.8005 4.5002 1.0735
Se 0.0000 1.5174 2.1464
Se 1.6237 1.5231 5.2840
Se 1.6237 4.5447 7.4232
Se 5.2702 1.5231 5.2840
Nb 3.4469 0.0204 6.3536
Se 5.0934 4.5002 1.0735
Nb 0.0000 0.0000 0.0000
Se 5.0934 1.5675 11.6337
Ba 0.0000 4.5716 3.9752
Se 0.0000 4.5503 10.5608
Ba 0.0000 1.4961 8.7320
Ba 3.4469 4.5862 10.7858
Se 3.4469 4.5300 4.1777
Se 1.8005 1.5675 11.6337

2) 19
Lattice="0.1383 -1.8741 9.2176 6.3110 -3.1958 6.2011 5.6519 5.7903 9.0283" Properties=species:S:1:pos:R:3 comment="Ba4Nb3Se12 (GGA-PBE, relaxed)" magnetic_moment_mub_per_cell=0.0 pbc="T T T"
Ba 8.2716 0.6683 16.6332
Se 2.5229 -2.3775 10.1200
Se 2.2402 0.2483 4.4753
Se 5.5019 -3.0154 8.6642
Nb 1.5877 1.6195 2.5392
Se 8.2694 -0.1817 13.1921
Se 3.8318 0.9021 11.2549
Ba 3.8296 0.0521 7.8137
Se 6.5993 3.7358 15.7828
Se 7.0364 -2.5345 15.5090
Nb 0.0000 0.0000 0.0000
Nb 10.5136 -0.8991 21.9078
Ba 5.4779 -2.1629 12.1572
Se 5.0649 3.2549 8.9380
Se 5.3714 0.4389 14.6083
Se 9.8611 0.4721 19.9717
Se 9.5783 3.0979 14.3270
Se 6.7299 0.2815 9.8387
Ba 6.6233 2.8833 12.2898

Most stable: 2) (next structure +3.9 kJ/mol of atoms)

1) 8
Lattice="-2.9478 3.2417 7.3151 -4.3400 -6.1619 -3.9880 3.4556 -4.6763 3.4648" Properties=species:S:1:pos:R:3 comment="Ba3Nd (GGA-PBE, relaxed)" magnetic_moment_mub_per_cell=2.1 pbc="T T T"
Ba -0.5964 -1.8882 7.9632
Nd -2.5480 -1.0619 4.4136
Ba -1.1426 -2.7363 0.7521
Ba -4.6576 -4.1448 2.3568
Ba 0.8254 -3.4517 4.4350
Ba -2.6896 -4.8602 6.0397
Nd -1.2842 -6.5346 2.3783
Ba -3.2358 -5.7083 -1.1713

2) 4
Lattice="3.8884 -6.0794 1.3483 1.3047 -0.6660 7.1939 -6.1486 1.1990 -3.8281" Properties=species:S:1:pos:R:3 comment="Ba3Nd (GGA-PBE, relaxed)" magnetic_moment_mub_per_cell=0.0 pbc="T T T"
Nd 0.0000 0.0000 0.0000
Ba 0.1682 -4.1265 0.8956
Ba 2.5966 -3.3727 4.2711
Ba -1.1237 -1.4198 3.8184

Most stable: 1) (next structure +1.3 kJ/mol of atoms)

1) 20
Lattice="8.5886 0.0000 0.0000 0.0000 4.8015 0.0000 0.0000 0.0404 8.7314" Properties=species:S:1:pos:R:3 comment="BaO4 (GGA-PBE, relaxed)" magnetic_moment_mub_per_cell=8.0 pbc="T T T"
O 1.7639 4.4059 3.7562
O 2.5304 4.4260 8.1219
O 1.7762 3.7274 7.2882
O 6.8124 1.1145 1.4431
O 3.8738 1.3944 2.0260
O 8.5106 1.3340 7.6771
Ba 7.4187 3.7079 7.2422
O 4.2163 3.5281 5.4200
O 6.8247 0.4360 4.9752
O 2.5181 3.7072 2.9225
O 4.3722 1.3138 3.3114
O 4.7148 3.4474 6.7054
O 0.4205 1.4146 6.3917
Ba 5.4642 3.6877 2.8765
O 6.0704 1.1347 5.8088
O 8.1681 3.4273 2.3397
O 6.0582 0.4158 0.6095
Ba 3.1244 1.1542 5.8549
Ba 1.1699 1.1340 1.4892
O 0.0780 3.5079 1.0543

2) 20
Lattice="9.1711 0.0000 0.0000 0.0000 4.5005 0.0000 0.0000 0.8484 8.4448" Properties=species:S:1:pos:R:3 comment="BaO4 (GGA-PBE, relaxed)" magnetic_moment_mub_per_cell=8.0 pbc="T T T"
O 5.1000 3.1377 1.8665
O 0.1781 1.2147 1.1517
O 8.9930 4.1341 7.2931
O 7.1216 1.8230 3.8551
O 0.5145 1.7870 2.3559
O 6.6350 2.2472 8.0775
O 4.0711 2.2111 6.5784
O 7.0979 1.6152 7.0073
Ba 1.4092 1.9103 7.0798
Ba 5.9947 3.8627 5.5874
O 6.6587 1.1910 2.7849
O 2.0732 3.7336 1.4375
O 4.7636 3.7099 3.0707
O 2.5360 3.1016 0.3673
O 4.4075 1.6389 5.3741
Ba 7.7619 3.4385 1.3650
O 2.0495 3.5258 4.5898
O 8.6566 3.5618 6.0889
O 2.5124 4.1578 5.6599
Ba 3.1764 1.4861 2.8574

Most stable: 2) (next structure +1.5 kJ/mol of atoms)

1) 44
Lattice="-4.8754 -3.0547 5.4961 1.9926 -4.7386 -0.8662 11.9335 2.7988 12.1414" Properties=species:S:1:pos:R:3 comment="BaOsO9 (GGA-PBE, relaxed)" magnetic_moment_mub_per_cell=4.0 pbc="T T T"
O 3.9580 -1.5799 3.0011
O 6.4453 -4.1060 5.9523
O 5.8137 -3.4422 8.6752
O -1.0664 -6.8233 3.5381
Ba 9.4918 0.5616 10.9197
Ba -0.4412 -5.5562 5.8516
O 1.6170 -2.4900 1.0626
O 8.7950 -3.8819 11.0354
O 5.9696 -5.5002 13.3891
Ba 5.1151 -1.4205 11.6950
Os 3.4775 -4.5133 9.1608
O 7.4337 -2.5046 15.7088
O 5.9276 -1.9022 8.9481
O 0.2557 -1.1127 5.7360
O 3.0810 0.5056 3.3823
Ba 3.9355 -3.5741 5.0764
O 1.1326 -3.1982 5.3548
O 3.5971 -3.2470 10.3879
O 8.0401 -3.8756 16.1687
O 1.0105 -1.1190 0.6027
O 3.2370 -1.5524 8.0962
O 3.1231 -3.0924 7.8232
O 4.0441 -5.2827 7.4229
O 2.5380 -4.6803 0.6622
O 6.1917 -4.1517 13.4268
Os 0.6489 -4.2210 1.0547
O 10.1170 1.8287 13.2333
O 5.4536 -1.7476 6.3834
O 7.9180 -1.7964 11.4166
O 2.8589 -0.8429 3.3445
O 0.5855 -2.3317 6.2597
O -2.0581 -4.4650 3.9692
Os 8.4017 -0.7736 15.7167
Os 5.5731 -0.4813 7.6106
O 2.6054 -0.8886 10.8190
O 5.0065 0.2881 9.3485
O 1.9111 -5.2003 9.3161
O 5.0927 -3.4147 13.7703
O 0.5843 -4.5559 2.7380
O 7.1395 0.2057 7.4552
O 11.1087 -0.5296 12.8022
O 8.4663 -0.4387 14.0334
O 8.4652 -2.6629 10.5116
O 6.5127 -0.3143 16.1091

2) 44
Lattice="-3.4950 4.2202 4.4326 0.3789 -5.3580 5.4001 11.5065 5.0814 4.2345" Properties=species:S:1:pos:R:3 comment="BaOsO9 (GGA-PBE, relaxed)" magnetic_moment_mub_per_cell=8.0 pbc="T T T"
O 5.3074 7.4452 7.2630
O 7.8396 7.1398 9.8870
O 9.3463 2.3911 7.8943
O 2.2572 -2.5212 6.9817
O 1.9840 -2.1745 8.1982
O 6.4122 3.8581 4.1842
O 1.4576 2.6242 9.0442
O 6.9328 1.3195 5.0230
O 1.4736 0.3628 5.3800
Ba 6.9497 0.6320 7.6795
O 10.3056 0.0462 8.8945
O 3.4714 3.0703 8.2187
O -1.9152 3.8974 5.1727
O 3.0830 -3.5016 6.8043
O 2.2392 0.2335 4.3448
O 6.4064 6.1181 5.8691
O -0.9559 1.5525 6.1730
Ba 1.4407 3.3116 6.3877
O 4.6036 0.7893 9.1844
O -0.3480 -4.2153 6.5405
O 9.1487 5.5591 8.2268
Os 2.9772 1.4606 9.3616
O 1.9781 0.0855 9.8830
O 6.9168 3.5808 8.6872
O 6.1332 6.4648 7.0855
Ba 8.9049 4.2581 5.7687
Ba -0.5146 -0.3145 8.2985
O 3.7868 3.1544 4.8828
O 4.9190 0.8733 5.8486
O 5.6924 2.8173 6.5962
O 5.8178 4.9079 10.0811
Os -2.0830 1.9886 4.8690
Os 5.4132 2.4831 4.7056
O 2.6980 1.1263 7.4710
O 9.0651 1.5441 10.4677
O 2.5726 -0.9643 3.9861
O 3.2945 2.3700 10.8447
O 8.7384 8.1590 7.5267
O -0.7583 -1.6155 5.8405
O 6.1512 3.7101 9.7224
O 5.0959 1.5737 3.2225
Os 10.4734 1.9551 9.1982
O 0.5508 -3.1962 4.1802
O -0.6747 2.3995 3.5995

Most stable: 1) (next structure +7.8 kJ/mol of atoms)